Record 1
The following is a DFT calculation (PBE+U) of a relaxed structure of Mg6CoNiO8.

Calculated values
Magnetization, μB/atom: 0.312

```
data_Mg6CoNiO8
_chemical_formula_sum 'Mg6 Co1 Ni1 O8'
_space_group_name_H-M_alt 'P 4/m m m'
_space_group_IT_number 123
_space_group_name_Hall '-P 4 2'
_cell_length_a 4.2479
_cell_length_b 4.2479
_cell_length_c 8.5313
_cell_angle_alpha 90.00
_cell_angle_beta 90.00
_cell_angle_gamma 90.00
loop_
_atom_site_label
_atom_site_type_symbol
_atom_site_fract_x
_atom_site_fract_y
_atom_site_fract_z
Mg1 Mg 0.0000 0.0000 0.0000
Mg2 Mg 0.0000 0.5000 0.2521
Mg3 Mg 0.5000 0.5000 0.0000
Co1 Co 0.0000 0.0000 0.5000
Ni1 Ni 0.5000 0.5000 0.5000
O1 O 0.0000 0.0000 0.2485
O2 O 0.0000 0.5000 0.0000
O3 O 0.0000 0.5000 0.5000
O4 O 0.5000 0.5000 0.2497
```


Record 2
The following is a DFT calculation (PBE+U) of a relaxed structure of MgCo4NiO8.

Calculated values
Magnetization, μB/atom: 0.710

```
data_MgCo4NiO8
_chemical_formula_sum 'Mg1 Co4 Ni1 O8'
_space_group_name_H-M_alt 'P -1'
_space_group_IT_number 2
_cell_length_a 5.7335
_cell_length_b 5.7676
_cell_length_c 5.9504
_cell_angle_alpha 91.53
_cell_angle_beta 118.21
_cell_angle_gamma 118.98
loop_
_space_group_symop_operation_xyz
'x,y,z'
'-x,-y,-z'
loop_
_atom_site_label
_atom_site_type_symbol
_atom_site_fract_x
_atom_site_fract_y
_atom_site_fract_z
Mg1 Mg 0.0000 0.0000 0.0000
Co1 Co 0.0000 0.5000 0.5000
Co2 Co 0.5000 0.0000 0.5000
Co3 Co 0.5000 0.5000 0.0000
Co4 Co 0.5000 0.5000 0.5000
Ni1 Ni 0.0000 0.0000 0.5000
O1 O 0.0146 0.7502 0.2567
O2 O 0.0346 0.2554 0.2979
O3 O 0.4584 0.2427 0.7030
O4 O 0.4979 0.7365 0.7322
```


Record 3
The following is a DFT calculation (PBE+U) of a relaxed structure of MgCo4Ni2O12.

Calculated values
Magnetization, μB/atom: 0.211

```
data_MgCo4Ni2O12
_chemical_formula_sum 'Mg1 Co4 Ni2 O12'
_space_group_name_H-M_alt 'P 1'
_space_group_IT_number 1
_cell_length_a 4.8854
_cell_length_b 4.8894
_cell_length_c 9.8175
_cell_angle_alpha 85.11
_cell_angle_beta 82.64
_cell_angle_gamma 60.66
loop_
_space_group_symop_operation_xyz
'x,y,z'
loop_
_atom_site_label
_atom_site_type_symbol
_atom_site_fract_x
_atom_site_fract_y
_atom_site_fract_z
Mg1 Mg 0.0000 0.0000 0.0000
Co1 Co 0.0585 0.0182 0.7362
Co2 Co 0.3890 0.3506 0.7484
Co3 Co 0.5933 0.0019 0.2548
Co4 Co 0.9238 0.3327 0.2550
Ni1 Ni 0.2613 0.6647 0.2550
Ni2 Ni 0.7217 0.6840 0.7514
O1 O 0.0317 0.3356 0.8489
O2 O 0.0784 0.6767 0.6501
O3 O 0.2409 0.3213 0.3486
O4 O 0.2731 0.0073 0.1504
O5 O 0.3533 0.6908 0.8491
O6 O 0.4261 0.0217 0.6503
O7 O 0.5767 0.6577 0.3485
O8 O 0.6506 0.3086 0.1419
O9 O 0.7095 0.0111 0.8488
O10 O 0.7329 0.3690 0.6507
O11 O 0.8739 0.0227 0.3553
O12 O 0.9495 0.6835 0.1506
```


Record 4
The following is a DFT calculation (PBE+U) of a relaxed structure of MgCo4NiO8.

Calculated values
Magnetization, μB/atom: 0.395

```
data_MgCo4NiO8
_chemical_formula_sum 'Mg1 Co4 Ni1 O8'
_space_group_name_H-M_alt 'P -1'
_space_group_IT_number 2
_cell_length_a 5.7630
_cell_length_b 5.8140
_cell_length_c 5.8461
_cell_angle_alpha 60.67
_cell_angle_beta 62.25
_cell_angle_gamma 60.59
loop_
_space_group_symop_operation_xyz
'x,y,z'
'-x,-y,-z'
loop_
_atom_site_label
_atom_site_type_symbol
_atom_site_fract_x
_atom_site_fract_y
_atom_site_fract_z
Mg1 Mg 0.0000 0.0000 0.0000
Co1 Co 0.0000 0.5000 0.0000
Co2 Co 0.5000 0.0000 0.0000
Co3 Co 0.5000 0.0000 0.5000
Co4 Co 0.5000 0.5000 0.0000
Ni1 Ni 0.5000 0.5000 0.5000
O1 O 0.2542 0.7272 0.7744
O2 O 0.2610 0.2364 0.7695
O3 O 0.2841 0.2505 0.2103
O4 O 0.2994 0.7462 0.2030
```


Record 5
The following is a DFT calculation (PBE+U) of a relaxed structure of MgCo4NiO8.

Calculated values
Magnetization, μB/atom: 0.664

```
data_MgCo4NiO8
_chemical_formula_sum 'Mg1 Co4 Ni1 O8'
_space_group_name_H-M_alt 'P 1'
_space_group_IT_number 1
_cell_length_a 5.7610
_cell_length_b 5.8355
_cell_length_c 5.8978
_cell_angle_alpha 60.70
_cell_angle_beta 89.18
_cell_angle_gamma 60.75
loop_
_space_group_symop_operation_xyz
'x,y,z'
loop_
_atom_site_label
_atom_site_type_symbol
_atom_site_fract_x
_atom_site_fract_y
_atom_site_fract_z
Mg1 Mg 0.0000 0.0000 0.0000
Co1 Co 0.4972 0.5002 0.5016
Co2 Co 0.9944 0.5024 0.0002
Co3 Co 0.9983 0.0008 0.5005
Co4 Co 0.9986 0.5007 0.5004
Ni1 Ni 0.4979 0.0017 0.4981
O1 O 0.2034 0.0478 0.7021
O2 O 0.2101 0.5468 0.7096
O3 O 0.2324 0.9934 0.2732
O4 O 0.2436 0.5008 0.2737
O5 O 0.7529 0.5008 0.7263
O6 O 0.7634 0.0084 0.7272
O7 O 0.7854 0.4550 0.2927
O8 O 0.7944 0.9536 0.2976
```


Record 6
The following is a DFT calculation (PBE+U) of a relaxed structure of MgCo2NiO6.

Calculated values
Magnetization, μB/atom: 0.200

```
data_MgCo2NiO6
_chemical_formula_sum 'Mg1 Co2 Ni1 O6'
_space_group_name_H-M_alt 'P 1'
_space_group_IT_number 1
_cell_length_a 2.8830
_cell_length_b 5.9853
_cell_length_c 6.4221
_cell_angle_alpha 76.46
_cell_angle_beta 77.64
_cell_angle_gamma 90.00
loop_
_space_group_symop_operation_xyz
'x,y,z'
loop_
_atom_site_label
_atom_site_type_symbol
_atom_site_fract_x
_atom_site_fract_y
_atom_site_fract_z
Mg1 Mg 0.0000 0.0000 0.0000
Co1 Co 0.3174 0.1742 0.3475
Co2 Co 0.6765 0.8243 0.6530
Ni1 Ni 0.9965 0.4994 0.0014
O1 O 0.1553 0.6260 0.6674
O2 O 0.1745 0.0418 0.6538
O3 O 0.4868 0.2380 0.0360
O4 O 0.5132 0.7616 0.9649
O5 O 0.8201 0.9576 0.3465
O6 O 0.8456 0.3725 0.3342
```


Record 7
The following is a DFT calculation (PBE+U) of a relaxed structure of MgCo2NiO6.

Calculated values
Magnetization, μB/atom: 0.400

```
data_MgCo2NiO6
_chemical_formula_sum 'Mg2 Co4 Ni2 O12'
_space_group_name_H-M_alt 'C 1 m 1'
_space_group_IT_number 8
_cell_length_a 12.5189
_cell_length_b 2.9009
_cell_length_c 6.0246
_cell_angle_alpha 90.00
_cell_angle_beta 106.13
_cell_angle_gamma 90.00
loop_
_space_group_symop_operation_xyz
'x,y,z'
'x,-y,z'
'x+1/2,y+1/2,z'
'x+1/2,-y+1/2,z'
loop_
_atom_site_label
_atom_site_type_symbol
_atom_site_fract_x
_atom_site_fract_y
_atom_site_fract_z
Mg1 Mg 0.0000 0.0000 0.0000
Co1 Co 0.3320 0.0000 0.1684
Co2 Co 0.4965 0.5000 0.4948
Ni1 Ni 0.1715 0.5000 0.8338
O1 O 0.0149 0.5000 0.7570
O2 O 0.1610 0.0000 0.6286
O3 O 0.1737 0.0000 0.0430
O4 O 0.3274 0.5000 0.9540
O5 O 0.3437 0.5000 0.3807
O6 O 0.4929 0.0000 0.2447
```


Number 1: distance to the lowest polymorph of the same formula 0.00 eV per formula unit. Number 2: distance to the lowest polymorph of the same formula 0.89 eV per formula unit. Number 3: distance to the lowest polymorph of the same formula 0.00 eV per formula unit. Number 4: distance to the lowest polymorph of the same formula 1.15 eV per formula unit. Number 5: distance to the lowest polymorph of the same formula 0.00 eV per formula unit. Number 6: distance to the lowest polymorph of the same formula 0.00 eV per formula unit. Number 7: distance to the lowest polymorph of the same formula 0.85 eV per formula unit.